Entry from the Materials Project database: a relaxed structure of Li2O (PBE-GGA).

Energy relative to the elements ... -1.90 eV/atom
Calculated volume ... 9.60 Å³/atom
Raw total energy ... -4.596 eV/atom
Relative energy among the computed polymorphs ... 158.6 meV per atom

Lattice parameters (Å, degrees): 9.5732 10.1037 10.1461 93.87 90.33 90.00
Last column: nearest neighbours and their distance in Å.
Element x y z (fractional)
Li1 0.0000 0.0000 0.0000  4 O 1.96-2.09
Li2 0.9996 0.7643 0.0743  4 O 1.89-2.02
Li3 0.0049 0.0347 0.7774  3 O 1.85-2.06
Li4 0.0212 0.8435 0.3419  2 O 1.88-1.96
Li5 0.0387 0.7556 0.5467  3 O 1.88-1.98
Li6 0.1079 0.9757 0.5851  4 O 1.95-2.13
Li7 0.1182 0.4283 0.1531  2 O 1.90-2.08
Li8 0.1186 0.3095 0.8566  2 O 1.91-2.04
Li9 0.1234 0.5044 0.5074  3 O 1.93-1.95
Li10 0.1344 0.3111 0.5895  2 O 1.86-1.93
Li11 0.1489 0.6489 0.9587  3 O 1.81-1.99
Li12 0.1515 0.8225 0.7495  4 O 1.94-2.13, 1 Li 2.17
Li13 0.1670 0.9237 0.1246  3 O 1.86-2.04
Li14 0.1888 0.2039 0.0898  3 O 1.88-2.05
Li15 0.2202 0.1402 0.7416  4 O 1.99-2.16, 1 Li 2.20
Li16 0.2376 0.5194 0.7389  3 O 1.84-2.06
Li17 0.2397 0.1551 0.3948  2 O 1.97-1.99, 1 Li 2.14
Li18 0.2418 0.7585 0.2687  2 O 1.93-1.95
Li19 0.2520 0.0042 0.8994  3 O 1.93-2.13
Li20 0.2549 0.3321 0.2912  3 O 1.81-1.88
Li21 0.2804 0.7101 0.5611  3 O 1.95-2.00
Li22 0.3243 0.7802 0.9890  4 O 1.91-2.12
Li23 0.3252 0.5581 0.1096  4 O 1.99-2.15
Li24 0.3398 0.9472 0.5247  3 O 1.90-2.02
Li25 0.3540 0.4058 0.9383  3 O 1.89-2.06
Li26 0.3680 0.2686 0.5765  3 O 1.87-2.08
Li27 0.3864 0.7051 0.7834  3 O 1.89-1.94
Li28 0.4205 0.4892 0.4800  3 O 1.86-2.04
Li29 0.4423 0.9832 0.2913  3 O 1.91-2.00
Li30 0.4515 0.4780 0.7577  2 O 1.84-1.98
Li31 0.4564 0.2172 0.0764  3 O 1.88-1.98
Li32 0.4622 0.9480 0.7988  3 O 1.91-1.94
Li33 0.4652 0.2368 0.8201  2 O 1.89-1.96
Li34 0.4857 0.9409 0.0308  3 O 1.92-2.01
Li35 0.4879 0.4222 0.2431  3 O 2.00-2.12, 1 Li 2.20
Li36 0.5101 0.6129 0.9601  4 O 1.91-2.08
Li37 0.5148 0.7749 0.1851  3 O 1.89-1.95
Li38 0.5513 0.0733 0.6071  3 O 1.90-1.99
Li39 0.5716 0.2453 0.4441  2 O 1.95, 1 Li 2.12
Li40 0.5791 0.7475 0.6486  3 O 1.90-2.10
Li41 0.6069 0.4204 0.0576  3 O 1.84-2.04
Li42 0.6195 0.5267 0.5932  3 O 1.88-1.99
Li43 0.6542 0.1213 0.9673  3 O 1.89-1.95
Li44 0.6595 0.8069 0.4134  3 O 1.91-2.01
Li45 0.6622 0.0277 0.4246  3 O 1.97-2.07, 1 Li 2.16
Li46 0.6825 0.5569 0.2955  3 O 1.94-2.00
Li47 0.6978 0.7434 0.8426  3 O 1.86-2.04
Li48 0.6994 0.0996 0.2182  3 O 1.91-2.00
Li49 0.7082 0.3134 0.7960  2 O 1.85
Li50 0.7265 0.6256 0.0967  3 O 1.87-1.95
Li51 0.7408 0.3308 0.2728  4 O 1.92-2.10
Li52 0.7615 0.5292 0.8390  4 O 2.01-2.20, 2 Li 2.25
Li53 0.7680 0.3256 0.5067  4 O 1.97-2.07, 1 Li 2.12
Li54 0.7682 0.9869 0.7278  3 O 1.96-2.14
Li55 0.7909 0.8920 0.0258  2 O 1.93-2.05
Li56 0.8107 0.7950 0.5870  3 O 1.84-1.98
Li57 0.8120 0.8535 0.2598  3 O 1.83-1.96
Li58 0.8161 0.3308 0.0560  2 O 1.84-1.96
Li59 0.8320 0.5663 0.4930  3 O 1.95-2.07
Li60 0.8665 0.1165 0.5471  3 O 1.96-2.16
Li61 0.9208 0.3062 0.6845  3 O 1.94-2.00
Li62 0.9258 0.1918 0.9037  3 O 1.87-1.92
Li63 0.9279 0.5305 0.0166  3 O 1.95-2.07
Li64 0.9484 0.6015 0.2598  3 O 1.88-1.97
Li65 0.9475 0.7865 0.8314  3 O 1.96-2.08, 1 Li 2.17
Li66 0.9510 0.5550 0.6819  3 O 1.89-2.00
Li67 0.9610 0.0948 0.2604  3 O 1.87-2.02
Li68 0.9814 0.2874 0.3887  3 O 1.91-2.08
O1 0.0443 0.1587 0.6362  6 Li 1.86-2.01
O2 0.1096 0.2144 0.2600  5 Li 1.84-1.97
O3 0.1117 0.1397 0.9275  6 Li 1.87-2.06
O4 0.1121 0.6153 0.1462  4 Li 1.90-2.02
O5 0.1254 0.6369 0.6562  6 Li 1.84-2.06
O6 0.1263 0.8384 0.9406  8 Li 1.95-2.13
O7 0.1872 0.8326 0.4405  5 Li 1.88-2.01
O8 0.2678 0.3757 0.4666  5 Li 1.81-1.93
O9 0.2876 0.9551 0.7052  6 Li 1.90-2.12
O10 0.2997 0.3256 0.7533  7 Li 1.96-2.12
O11 0.3190 0.5855 0.9100  5 Li 1.81-1.97
O12 0.3219 0.3620 0.1219  7 Li 1.88-2.08
O13 0.3490 0.8717 0.1585  6 Li 1.86-2.01
O14 0.4309 0.1071 0.4528  6 Li 1.95-2.08
O15 0.4420 0.6119 0.6243  6 Li 1.86-1.98
O16 0.4591 0.0925 0.9300  5 Li 1.88-1.92
O17 0.5191 0.7972 0.8941  5 Li 1.86-2.02
O18 0.5383 0.5890 0.1582  7 Li 1.89-2.11
O19 0.5836 0.4322 0.8782  4 Li 1.84-2.02
O20 0.6136 0.4303 0.4156  7 Li 1.94-2.12
O21 0.6334 0.9185 0.2580  6 Li 1.83-2.01
O22 0.6427 0.9071 0.5795  6 Li 1.90-2.06
O23 0.6466 0.2477 0.1209  6 Li 1.89-1.96
O24 0.6871 0.2132 0.6380  3 Li 1.85-1.97
O25 0.7596 0.6337 0.6768  7 Li 1.88-2.10
O26 0.8023 0.1710 0.3720  7 Li 1.94-2.08
O27 0.8210 0.0340 0.9116  5 Li 1.89-1.97
O28 0.8263 0.4795 0.1716  6 Li 1.84-2.05
O29 0.8360 0.6986 0.9675  6 Li 1.87-2.05
O30 0.8486 0.7215 0.3886  6 Li 1.96-2.14
O31 0.9055 0.3765 0.8729  7 Li 1.92-2.15
O32 0.9484 0.4168 0.5350  6 Li 1.93-1.97
O33 0.9572 0.8848 0.6713  5 Li 1.84-1.96
O34 0.9656 0.9224 0.1786  6 Li 1.85-2.05